This record from the Materials Project database describes an optimized crystal structure of Fe3O4F2. The functional is PBE+U.

Structure (POSCAR):
```
Fe3O4F2
1.0
3.281 -3.280 0.000
3.281 3.280 0.000
-0.043 0.000 9.151
Fe O F
6 8 4
Direct
0.000 0.000 0.000
0.038 0.016 0.657
0.514 0.486 0.500
0.531 0.457 0.839
0.543 0.469 0.161
0.984 0.962 0.343
0.214 0.786 0.500
0.324 0.278 0.003
0.340 0.304 0.664
0.696 0.660 0.336
0.722 0.676 0.997
0.810 0.190 0.500
0.821 0.159 0.172
0.841 0.179 0.828
0.212 0.772 0.170
0.228 0.788 0.830
0.312 0.276 0.332
0.724 0.688 0.668
```

Summary:
Symmetry = C2
Total moment = 28.00 μB per cell
Calculated formation energy = -1.77 eV per atom
Polymorph energy (0 for the lowest one) = 2.6 kJ per mole of atoms
DFT total energy = -6.062 eV per atom

---

This record from the Materials Project database describes an optimized crystal structure of Co3O2F4. The functional is PBE+U.

Structure (POSCAR):
```
Co3O2F4
1.0
4.717 0.000 0.000
0.347 5.622 0.000
0.444 0.547 7.659
Co O F
6 4 8
Direct
0.000 0.000 0.000
0.013 0.653 0.335
0.483 0.178 0.342
0.500 0.500 0.000
0.517 0.822 0.658
0.987 0.347 0.665
0.179 0.378 0.441
0.199 0.690 0.109
0.801 0.310 0.891
0.821 0.622 0.559
0.198 0.046 0.757
0.302 0.197 0.100
0.302 0.872 0.434
0.306 0.538 0.768
0.694 0.462 0.232
0.698 0.128 0.566
0.698 0.803 0.900
0.802 0.954 0.243
```

Summary:
Symmetry = P-1
Total moment = 17.75 μB per cell
Calculated formation energy = -1.84 eV per atom
Polymorph energy (0 for the lowest one) = 4.0 kJ per mole of atoms
DFT total energy = -5.254 eV per atom

---

This record from the Materials Project database describes an optimized crystal structure of Li3V3P8O29. The functional is PBE+U.

Structure (POSCAR):
```
Li3V3P8O29
1.0
9.760 0.000 0.000
4.859 8.471 0.000
0.103 0.002 14.168
Li V P O
6 6 16 58
Direct
0.000 0.000 0.000
0.014 0.132 0.498
0.099 0.242 0.884
0.243 0.224 0.381
0.394 0.863 0.939
0.638 0.687 0.384
0.324 0.479 0.691
0.333 0.349 0.186
0.755 0.479 0.186
0.761 0.911 0.693
0.889 0.351 0.693
0.894 0.906 0.195
0.005 0.143 0.281
0.014 0.999 0.785
0.101 0.228 0.101
0.101 0.825 0.603
0.239 0.229 0.597
0.244 0.691 0.099
0.410 0.601 0.286
0.411 0.135 0.779
0.547 0.603 0.781
0.553 0.999 0.282
0.636 0.830 0.097
0.644 0.685 0.600
0.662 0.243 0.574
0.667 0.239 0.070
0.993 0.571 0.310
0.995 0.577 0.811
0.000 0.565 0.915
0.001 0.421 0.769
0.068 0.827 0.106
0.069 0.252 0.605
0.082 0.154 0.370
0.092 0.930 0.877
0.093 0.918 0.518
0.098 0.145 0.013
0.121 0.120 0.192
0.125 0.906 0.697
0.141 0.579 0.765
0.144 0.425 0.268
0.232 0.388 0.618
0.242 0.257 0.107
0.242 0.654 0.607
0.245 0.530 0.113
0.314 0.160 0.505
0.321 0.122 0.861
0.322 0.705 0.013
0.325 0.708 0.193
0.327 0.674 0.374
0.335 0.114 0.683
0.407 0.295 0.770
0.411 0.169 0.280
0.412 0.564 0.773
0.419 0.439 0.261
0.512 0.386 0.618
0.518 0.240 0.116
0.529 0.703 0.685
0.530 0.918 0.189
0.538 0.695 0.865
0.544 0.901 0.011
0.565 0.906 0.367
0.582 0.573 0.277
0.582 0.669 0.508
0.584 0.999 0.776
0.660 0.392 0.116
0.669 0.093 0.620
0.670 0.244 0.966
0.671 0.827 0.610
0.673 0.239 0.469
0.673 0.655 0.111
0.708 0.446 0.768
0.709 0.005 0.263
0.793 0.831 0.112
0.806 0.532 0.623
0.811 0.248 0.617
0.818 0.093 0.111
0.842 0.574 0.269
0.847 0.294 0.262
0.847 0.723 0.768
0.856 0.000 0.770
0.944 0.386 0.115
0.946 0.819 0.620
0.982 0.998 0.275
0.984 0.172 0.777
0.988 0.723 0.263
0.990 0.575 0.415
```

Summary:
Symmetry = P1
Total moment = 0.00 μB per cell
Calculated formation energy = -2.52 eV per atom
Polymorph energy (0 for the lowest one) = 1.2 kJ per mole of atoms
DFT total energy = -7.049 eV per atom

---

This record from the Materials Project database describes an optimized crystal structure of ZnCr2P2O9. The functional is PBE+U.

Structure (POSCAR):
```
ZnCr2P2O9
1.0
14.112 0.000 0.000
0.000 6.288 0.000
0.000 0.000 7.391
Zn Cr P O
4 8 8 36
Direct
0.224 0.250 0.066
0.276 0.750 0.566
0.724 0.250 0.434
0.776 0.750 0.934
0.000 0.000 0.000
0.000 0.500 0.000
0.122 0.250 0.643
0.378 0.750 0.143
0.500 0.000 0.500
0.500 0.500 0.500
0.622 0.250 0.857
0.878 0.750 0.357
0.072 0.750 0.637
0.193 0.750 0.112
0.307 0.250 0.612
0.428 0.250 0.137
0.572 0.750 0.863
0.693 0.750 0.388
0.807 0.250 0.888
0.928 0.250 0.363
0.003 0.250 0.507
0.024 0.750 0.829
0.053 0.250 0.870
0.134 0.539 0.107
0.134 0.961 0.107
0.142 0.562 0.626
0.142 0.938 0.626
0.232 0.250 0.458
0.245 0.250 0.790
0.255 0.750 0.290
0.268 0.750 0.958
0.358 0.062 0.126
0.358 0.438 0.126
0.366 0.039 0.607
0.366 0.461 0.607
0.447 0.750 0.370
0.476 0.250 0.329
0.497 0.750 0.007
0.503 0.250 0.993
0.524 0.750 0.671
0.553 0.250 0.630
0.634 0.539 0.393
0.634 0.961 0.393
0.642 0.562 0.874
0.642 0.938 0.874
0.732 0.250 0.042
0.745 0.250 0.710
0.755 0.750 0.210
0.768 0.750 0.542
0.858 0.062 0.374
0.858 0.438 0.374
0.866 0.039 0.893
0.866 0.461 0.893
0.947 0.750 0.130
0.976 0.250 0.171
0.997 0.750 0.493
```

Summary:
Symmetry = Pnma
Total moment = 24.00 μB per cell
Calculated formation energy = -2.45 eV per atom
DFT total energy = -7.148 eV per atom